[1]
The following is a PBE+U calculation of K2P4PtWClO10 after structural relaxation, from Materials Project.

Cell and atoms, written as POSCAR:
```
K2P4PtWClO10
1.0
8.410 0.000 0.000
4.018 8.178 0.000
2.955 2.836 9.337
K P Pt W Cl O
4 8 2 2 2 20
Direct
0.119 0.236 0.044
0.227 0.765 0.145
0.773 0.235 0.855
0.881 0.764 0.956
0.218 0.305 0.377
0.242 0.199 0.677
0.296 0.907 0.394
0.301 0.808 0.712
0.699 0.192 0.288
0.704 0.093 0.606
0.758 0.801 0.323
0.782 0.695 0.623
0.492 0.048 0.356
0.508 0.952 0.644
0.214 0.612 0.593
0.786 0.388 0.407
0.485 0.144 0.096
0.515 0.856 0.904
0.047 0.335 0.314
0.118 0.176 0.815
0.124 0.262 0.548
0.169 0.000 0.287
0.169 0.833 0.844
0.183 0.884 0.567
0.244 0.470 0.334
0.291 0.358 0.652
0.355 0.706 0.410
0.364 0.611 0.717
0.636 0.389 0.283
0.645 0.294 0.590
0.709 0.642 0.348
0.756 0.530 0.666
0.817 0.116 0.433
0.831 0.000 0.713
0.831 0.167 0.156
0.876 0.738 0.452
0.882 0.824 0.185
0.953 0.665 0.686
```

Results
The calculation puts the total energy at -6.40 eV per atom. As for the crystal system: triclinic. For the energy relative to the elements, the calculation gives -2.04 eV/atom.


[2]
The following is a PBE+U calculation of K4W2Cl10O after structural relaxation, from Materials Project.

Cell and atoms, written as POSCAR:
```
K4W2Cl10O
1.0
-3.675 3.675 9.019
3.675 -3.675 9.019
3.675 3.675 -9.019
K W Cl O
4 2 10 1
Direct
0.000 0.500 0.500
0.250 0.750 0.500
0.500 0.000 0.500
0.750 0.250 0.500
0.107 0.107 0.000
0.893 0.893 0.000
0.126 0.126 0.475
0.126 0.651 0.000
0.242 0.242 0.000
0.349 0.349 0.475
0.349 0.874 0.000
0.651 0.126 0.000
0.651 0.651 0.525
0.758 0.758 0.000
0.874 0.349 0.000
0.874 0.874 0.525
0.000 0.000 0.000
```

Results
The calculation puts the total energy at -4.07 eV per atom. As for the crystal system: tetragonal. For the energy relative to the elements, the calculation gives -1.47 eV/atom.


[3]
The following is a PBE+U calculation of LaMoClO4 after structural relaxation, from Materials Project.

Cell and atoms, written as POSCAR:
```
LaMoClO4
1.0
19.423 0.000 0.000
0.000 5.903 0.000
0.000 0.000 8.077
La Mo Cl O
8 8 8 32
Direct
0.104 0.199 0.127
0.104 0.301 0.627
0.395 0.701 0.378
0.395 0.799 0.878
0.605 0.201 0.122
0.605 0.299 0.622
0.896 0.699 0.373
0.896 0.801 0.873
0.179 0.748 0.410
0.179 0.752 0.910
0.321 0.244 0.659
0.321 0.256 0.159
0.679 0.744 0.841
0.679 0.756 0.341
0.821 0.248 0.090
0.821 0.252 0.590
0.011 0.740 0.624
0.011 0.760 0.124
0.489 0.241 0.873
0.489 0.259 0.373
0.511 0.741 0.627
0.511 0.759 0.127
0.989 0.240 0.876
0.989 0.260 0.376
0.133 0.020 0.400
0.133 0.480 0.900
0.135 0.014 0.847
0.135 0.486 0.347
0.172 0.686 0.629
0.172 0.814 0.129
0.231 0.240 0.620
0.231 0.260 0.120
0.269 0.733 0.874
0.269 0.767 0.374
0.327 0.184 0.878
0.327 0.316 0.378
0.364 0.521 0.650
0.364 0.979 0.150
0.368 0.513 0.097
0.368 0.987 0.597
0.632 0.013 0.403
0.632 0.487 0.903
0.636 0.021 0.850
0.636 0.479 0.350
0.673 0.684 0.622
0.673 0.816 0.122
0.731 0.233 0.626
0.731 0.267 0.126
0.769 0.740 0.880
0.769 0.760 0.380
0.828 0.186 0.871
0.828 0.314 0.371
0.865 0.514 0.653
0.865 0.986 0.153
0.867 0.520 0.100
0.867 0.980 0.600
```

Results
The calculation puts the total energy at -7.12 eV per atom. As for the crystal system: monoclinic. For the energy relative to the elements, the calculation gives -2.63 eV/atom.


[4]
The following is a PBE+U calculation of La3WCl3O6 after structural relaxation, from Materials Project.

Cell and atoms, written as POSCAR:
```
La3WCl3O6
1.0
9.509 0.000 0.000
-4.755 8.235 0.000
0.000 0.000 5.487
La W Cl O
6 2 6 12
Direct
0.090 0.684 0.250
0.316 0.405 0.250
0.405 0.090 0.750
0.595 0.910 0.250
0.684 0.595 0.750
0.910 0.316 0.750
0.333 0.667 0.750
0.667 0.333 0.250
0.048 0.807 0.750
0.193 0.241 0.750
0.241 0.048 0.250
0.759 0.952 0.750
0.807 0.759 0.250
0.952 0.193 0.250
0.161 0.526 0.520
0.161 0.526 0.980
0.364 0.839 0.520
0.364 0.839 0.980
0.474 0.636 0.520
0.474 0.636 0.980
0.526 0.364 0.020
0.526 0.364 0.480
0.636 0.161 0.020
0.636 0.161 0.480
0.839 0.474 0.020
0.839 0.474 0.480
```

Results
The calculation puts the total energy at -7.26 eV per atom. As for the crystal system: hexagonal. For the energy relative to the elements, the calculation gives -3.07 eV/atom.